# PBE Rb3B7O12, relaxed
# Magnetic moment: 0.00 μB per atom
# Uncorrected energy: -7.36 eV per atom
# Energy of formation: -2.774 eV per atom
data_Rb3B7O12
_chemical_formula_sum 'Rb12 B28 O48'
_symmetry_space_group_name_H-M 'P -1'
_symmetry_Int_Tables_number 2
_cell_length_a 6.682
_cell_length_b 6.716
_cell_length_c 30.623
_cell_angle_alpha 91.10
_cell_angle_beta 91.75
_cell_angle_gamma 119.07
loop_
_symmetry_equiv_pos_as_xyz
'x,y,z'
'-x,-y,-z'
loop_
_atom_site_label
_atom_site_type_symbol
_atom_site_fract_x
_atom_site_fract_y
_atom_site_fract_z
Rb1 Rb 0.028 0.138 0.307
Rb2 Rb 0.038 0.155 0.192
Rb3 Rb 0.316 0.739 0.141
Rb4 Rb 0.335 0.705 0.526
Rb5 Rb 0.393 0.626 0.650
Rb6 Rb 0.411 0.714 0.023
B1 B 0.031 0.862 0.066
B2 B 0.050 0.346 0.752
B3 B 0.056 0.828 0.929
B4 B 0.096 0.195 0.432
B5 B 0.175 0.881 0.406
B6 B 0.218 0.198 0.570
B7 B 0.229 0.565 0.919
B8 B 0.306 0.725 0.345
B9 B 0.338 0.621 0.422
B10 B 0.350 0.252 0.088
B11 B 0.369 0.749 0.761
B12 B 0.385 0.825 0.262
B13 B 0.388 0.702 0.847
B14 B 0.448 0.419 0.761
O1 O 0.031 0.363 0.936
O2 O 0.078 0.271 0.589
O3 O 0.126 0.571 0.745
O4 O 0.131 0.063 0.933
O5 O 0.133 0.966 0.560
O6 O 0.154 0.415 0.442
O7 O 0.168 0.322 0.084
O8 O 0.169 0.827 0.250
O9 O 0.197 0.564 0.870
O10 O 0.211 0.269 0.760
O11 O 0.220 0.867 0.358
O12 O 0.222 0.771 0.937
O13 O 0.239 0.125 0.415
O14 O 0.260 0.018 0.067
O15 O 0.315 0.820 0.433
O16 O 0.323 0.577 0.374
O17 O 0.366 0.793 0.809
O18 O 0.377 0.715 0.304
O19 O 0.393 0.230 0.135
O20 O 0.407 0.666 0.229
O21 O 0.424 0.943 0.735
O22 O 0.437 0.353 0.561
O23 O 0.447 0.581 0.932
O24 O 0.474 0.353 0.246

***

# PBE Rb5B19O31, relaxed
# Uncorrected energy: -7.63 eV per atom
# Energy of formation: -2.829 eV per atom
data_Rb5B19O31
_chemical_formula_sum 'Rb20 B76 O124'
_symmetry_space_group_name_H-M 'C 1 2/c 1'
_symmetry_Int_Tables_number 15
_cell_length_a 18.385
_cell_length_b 11.705
_cell_length_c 13.470
_cell_angle_alpha 90.00
_cell_angle_beta 95.65
_cell_angle_gamma 90.00
loop_
_symmetry_equiv_pos_as_xyz
'x,y,z'
'-x,-y,-z'
'-x,y,-z+1/2'
'x,-y,z+1/2'
'x+1/2,y+1/2,z'
'-x+1/2,-y+1/2,-z'
'-x+1/2,y+1/2,-z+1/2'
'x+1/2,-y+1/2,z+1/2'
loop_
_atom_site_label
_atom_site_type_symbol
_atom_site_fract_x
_atom_site_fract_y
_atom_site_fract_z
Rb1 Rb 0.000 0.000 0.000
Rb2 Rb 0.165 0.438 0.184
Rb3 Rb 0.174 0.234 0.670
B1 B 0.000 0.388 0.750
B2 B 0.016 0.456 0.379
B3 B 0.017 0.305 0.502
B4 B 0.067 0.032 0.243
B5 B 0.072 0.250 0.870
B6 B 0.132 0.348 0.426
B7 B 0.151 0.180 0.302
B8 B 0.168 0.127 0.969
B9 B 0.174 0.071 0.148
B10 B 0.242 0.485 0.467
O1 O 0.000 0.022 0.750
O2 O 0.019 0.237 0.936
O3 O 0.021 0.389 0.054
O4 O 0.024 0.459 0.669
O5 O 0.064 0.315 0.787
O6 O 0.085 0.120 0.310
O7 O 0.087 0.430 0.364
O8 O 0.088 0.281 0.492
O9 O 0.110 0.002 0.673
O10 O 0.137 0.185 0.885
O11 O 0.146 0.142 0.061
O12 O 0.170 0.272 0.360
O13 O 0.188 0.413 0.491
O14 O 0.197 0.147 0.233
O15 O 0.224 0.051 0.953
O16 O 0.234 0.004 0.626

***

# PBE Rb2B4O7, relaxed
# Uncorrected energy: -7.26 eV per atom
# Energy of formation: -2.760 eV per atom
data_Rb2B4O7
_chemical_formula_sum 'Rb8 B16 O28'
_symmetry_space_group_name_H-M 'P -1'
_symmetry_Int_Tables_number 2
_cell_length_a 6.735
_cell_length_b 10.037
_cell_length_c 10.776
_cell_angle_alpha 89.18
_cell_angle_beta 76.66
_cell_angle_gamma 78.70
loop_
_symmetry_equiv_pos_as_xyz
'x,y,z'
'-x,-y,-z'
loop_
_atom_site_label
_atom_site_type_symbol
_atom_site_fract_x
_atom_site_fract_y
_atom_site_fract_z
Rb1 Rb 0.149 0.122 0.047
Rb2 Rb 0.168 0.517 0.123
Rb3 Rb 0.258 0.619 0.506
Rb4 Rb 0.268 0.988 0.408
B1 B 0.063 0.162 0.739
B2 B 0.203 0.288 0.550
B3 B 0.293 0.913 0.737
B4 B 0.335 0.310 0.749
B5 B 0.351 0.791 0.148
B6 B 0.369 0.558 0.801
B7 B 0.411 0.290 0.319
B8 B 0.425 0.771 0.899
O1 O 0.038 0.232 0.617
O2 O 0.140 0.843 0.172
O3 O 0.167 0.019 0.692
O4 O 0.183 0.230 0.805
O5 O 0.217 0.303 0.420
O6 O 0.276 0.447 0.818
O7 O 0.289 0.897 0.865
O8 O 0.313 0.654 0.900
O9 O 0.340 0.330 0.609
O10 O 0.376 0.255 0.197
O11 O 0.425 0.821 0.644
O12 O 0.445 0.753 0.248
O13 O 0.470 0.784 0.025
O14 O 0.488 0.423 0.310

***

# PBE RbBO3, relaxed
# Magnetic moment: 0.40 μB per atom
# Uncorrected energy: -4.69 eV per atom
# Energy of formation: -0.598 eV per atom
data_RbBO3
_chemical_formula_sum 'Rb1 B1 O3'
_symmetry_space_group_name_H-M 'P m -3 m'
_symmetry_Int_Tables_number 221
_symmetry_space_group_name_Hall '-P 4 2 3'
_cell_length_a 3.694
_cell_length_b 3.694
_cell_length_c 3.694
_cell_angle_alpha 90.00
_cell_angle_beta 90.00
_cell_angle_gamma 90.00
loop_
_atom_site_label
_atom_site_type_symbol
_atom_site_fract_x
_atom_site_fract_y
_atom_site_fract_z
Rb1 Rb 0.000 0.000 0.000
B1 B 0.500 0.500 0.500
O1 O 0.000 0.500 0.500

***

# PBE Rb3B3O10, relaxed
# Magnetic moment: 0.25 μB per atom
# Uncorrected energy: -5.72 eV per atom
# Energy of formation: -1.616 eV per atom
data_Rb3B3O10
_chemical_formula_sum 'Rb12 B12 O40'
_symmetry_space_group_name_H-M 'P n a 21'
_symmetry_Int_Tables_number 33
_cell_length_a 8.188
_cell_length_b 14.091
_cell_length_c 9.636
_cell_angle_alpha 90.00
_cell_angle_beta 90.00
_cell_angle_gamma 90.00
loop_
_symmetry_equiv_pos_as_xyz
'x,y,z'
'-x,-y,z+1/2'
'-x+1/2,y+1/2,z+1/2'
'x+1/2,-y+1/2,z'
loop_
_atom_site_label
_atom_site_type_symbol
_atom_site_fract_x
_atom_site_fract_y
_atom_site_fract_z
Rb1 Rb 0.012 0.217 0.000
Rb2 Rb 0.018 0.781 0.998
Rb3 Rb 0.058 0.501 0.545
B1 B 0.036 0.003 0.263
B2 B 0.226 0.091 0.743
B3 B 0.231 0.908 0.745
O1 O 0.048 0.084 0.761
O2 O 0.052 0.912 0.759
O3 O 0.169 0.338 0.744
O4 O 0.190 0.501 0.262
O5 O 0.193 0.338 0.335
O6 O 0.194 0.662 0.744
O7 O 0.200 0.665 0.327
O8 O 0.201 0.004 0.266
O9 O 0.214 0.361 0.119
O10 O 0.226 0.636 0.114

***

# PBE Rb4B2S4O17, relaxed
# Magnetic moment: 0.00 μB per atom
# Uncorrected energy: -6.19 eV per atom
# Energy of formation: -2.253 eV per atom
data_Rb4B2S4O17
_chemical_formula_sum 'Rb16 B8 S16 O68'
_symmetry_space_group_name_H-M 'P n n a'
_symmetry_Int_Tables_number 52
_cell_length_a 8.196
_cell_length_b 10.813
_cell_length_c 20.773
_cell_angle_alpha 90.00
_cell_angle_beta 90.00
_cell_angle_gamma 90.00
loop_
_symmetry_equiv_pos_as_xyz
'x,y,z'
'-x,-y,-z'
'-x+1/2,-y,z'
'x+1/2,y,-z'
'x,-y+1/2,-z+1/2'
'-x,y+1/2,z+1/2'
'-x+1/2,y+1/2,-z+1/2'
'x+1/2,-y+1/2,z+1/2'
loop_
_atom_site_label
_atom_site_type_symbol
_atom_site_fract_x
_atom_site_fract_y
_atom_site_fract_z
Rb1 Rb 0.004 0.124 0.093
Rb2 Rb 0.157 0.750 0.250
Rb3 Rb 0.250 0.000 0.462
B1 B 0.198 0.102 0.646
S1 S 0.010 0.566 0.798
S2 S 0.043 0.224 0.930
O1 O 0.009 0.181 0.521
O2 O 0.038 0.070 0.680
O3 O 0.052 0.064 0.232
O4 O 0.096 0.128 0.344
O5 O 0.097 0.695 0.389
O6 O 0.122 0.113 0.957
O7 O 0.181 0.625 0.798
O8 O 0.185 0.222 0.615
O9 O 0.250 0.000 0.608

***

What are the MP2020-corrected energy values for these records? In order: -7.732 -8.014 -7.630 -5.099 -6.145 -6.621 eV per atom.